## i
Crystalline Li2Co2Si3O9 at its relaxed geometry, computed with PBE+U.

Results
* SG: P2_1/c (14)
* magnetization: 0.00 μB/f.u.

```
data_Li2Co2Si3O9
_chemical_formula_sum 'Li8 Co8 Si12 O36'
_symmetry_space_group_name_H-M 'P 1'
_symmetry_Int_Tables_number 1
_cell_length_a 10.5684
_cell_length_b 7.2308
_cell_length_c 12.1887
_cell_angle_alpha 90.00
_cell_angle_beta 110.43
_cell_angle_gamma 90.00
loop_
_symmetry_equiv_pos_as_xyz
'x,y,z'
loop_
_atom_site_label
_atom_site_fract_x
_atom_site_fract_y
_atom_site_fract_z
Li1 0.0430 0.0642 0.3410
Li2 0.0430 0.4358 0.8410
Li3 0.4478 0.5375 0.8675
Li4 0.4478 0.9625 0.3675
Li5 0.5522 0.0375 0.6325
Li6 0.5522 0.4625 0.1325
Li7 0.9570 0.5642 0.1590
Li8 0.9570 0.9358 0.6590
Co1 0.0652 0.6334 0.4395
Co2 0.0652 0.8666 0.9395
Co3 0.4444 0.6036 0.5758
Co4 0.4444 0.8964 0.0758
Co5 0.5556 0.1036 0.9242
Co6 0.5556 0.3964 0.4242
Co7 0.9348 0.1334 0.0605
Co8 0.9348 0.3666 0.5605
Si1 0.2425 0.0260 0.7970
Si2 0.2425 0.4740 0.2970
Si3 0.2603 0.1530 0.1450
Si4 0.2603 0.3471 0.6450
Si5 0.2709 0.5468 0.0622
Si6 0.2709 0.9532 0.5622
Si7 0.7291 0.0468 0.4378
Si8 0.7291 0.4532 0.9378
Si9 0.7397 0.6530 0.3550
Si10 0.7397 0.8470 0.8550
Si11 0.7575 0.5260 0.7030
Si12 0.7575 0.9740 0.2030
O1 0.0977 0.5323 0.3045
O2 0.0977 0.9677 0.8045
O3 0.1197 0.0546 0.0670
O4 0.1197 0.4454 0.5670
O5 0.1293 0.6073 0.9610
O6 0.1293 0.8927 0.4610
O7 0.2324 0.2481 0.7573
O8 0.2324 0.2519 0.2573
O9 0.2638 0.5995 0.1915
O10 0.2638 0.9005 0.6915
O11 0.2948 0.1805 0.5656
O12 0.2948 0.3195 0.0656
O13 0.3743 0.0050 0.9146
O14 0.3743 0.4950 0.4146
O15 0.3868 0.0117 0.1961
O16 0.3868 0.4883 0.6961
O17 0.4053 0.6312 0.0433
O18 0.4053 0.8688 0.5433
O19 0.5947 0.1312 0.4567
O20 0.5947 0.3688 0.9567
O21 0.6132 0.5117 0.3039
O22 0.6132 0.9883 0.8039
O23 0.6257 0.5050 0.5854
O24 0.6257 0.9950 0.0854
O25 0.7052 0.6805 0.9344
O26 0.7052 0.8195 0.4344
O27 0.7362 0.0995 0.3085
O28 0.7362 0.4005 0.8085
O29 0.7676 0.7481 0.7427
O30 0.7676 0.7519 0.2427
O31 0.8707 0.1073 0.5390
O32 0.8707 0.3927 0.0390
O33 0.8803 0.5546 0.4330
O34 0.8803 0.9454 0.9330
O35 0.9023 0.0323 0.1955
O36 0.9023 0.4677 0.6955
```

=====

## ii
Crystalline Li2Co2Si3O9 at its relaxed geometry, computed with PBE+U.

Results
* SG: Pnma (62)
* magnetization: 6.00 μB/f.u.

```
data_Li2Co2Si3O9
_chemical_formula_sum 'Li8 Co8 Si12 O36'
_symmetry_space_group_name_H-M 'P 1'
_symmetry_Int_Tables_number 1
_cell_length_a 12.4059
_cell_length_b 9.6314
_cell_length_c 6.1588
_cell_angle_alpha 90.00
_cell_angle_beta 90.00
_cell_angle_gamma 90.00
loop_
_symmetry_equiv_pos_as_xyz
'x,y,z'
loop_
_atom_site_label
_atom_site_fract_x
_atom_site_fract_y
_atom_site_fract_z
Li1 0.0873 0.0573 0.1489
Li2 0.0873 0.4427 0.1489
Li3 0.4127 0.5573 0.6489
Li4 0.4127 0.9427 0.6489
Li5 0.5873 0.0573 0.3511
Li6 0.5873 0.4427 0.3511
Li7 0.9127 0.5573 0.8511
Li8 0.9127 0.9427 0.8511
Co1 0.1644 0.0001 0.7000
Co2 0.1644 0.4999 0.7000
Co3 0.3356 0.9999 0.2000
Co4 0.3356 0.5001 0.2000
Co5 0.6644 0.0001 0.8000
Co6 0.6644 0.4999 0.8000
Co7 0.8356 0.9999 0.3000
Co8 0.8356 0.5001 0.3000
Si1 0.0385 0.2500 0.5423
Si2 0.0777 0.7500 0.0236
Si3 0.2117 0.7500 0.4247
Si4 0.2883 0.2500 0.9247
Si5 0.4223 0.2500 0.5236
Si6 0.4615 0.7500 0.0423
Si7 0.5385 0.2500 0.9577
Si8 0.5777 0.7500 0.4764
Si9 0.7117 0.7500 0.0753
Si10 0.7883 0.2500 0.5753
Si11 0.9223 0.2500 0.9764
Si12 0.9615 0.7500 0.4577
O1 0.0291 0.2500 0.8119
O2 0.0695 0.6011 0.9029
O3 0.0695 0.8989 0.9029
O4 0.0906 0.7500 0.5314
O5 0.0982 0.1085 0.4645
O6 0.0982 0.3915 0.4645
O7 0.1930 0.7500 0.1603
O8 0.2285 0.1041 0.9918
O9 0.2285 0.3959 0.9918
O10 0.2715 0.6041 0.4918
O11 0.2715 0.8959 0.4918
O12 0.3070 0.2500 0.6603
O13 0.4018 0.6085 0.9645
O14 0.4018 0.8915 0.9645
O15 0.4094 0.2500 0.0314
O16 0.4305 0.1011 0.4029
O17 0.4305 0.3989 0.4029
O18 0.4709 0.7500 0.3119
O19 0.5291 0.2500 0.6881
O20 0.5695 0.6011 0.5971
O21 0.5695 0.8989 0.5971
O22 0.5906 0.7500 0.9686
O23 0.5982 0.1085 0.0355
O24 0.5982 0.3915 0.0355
O25 0.6930 0.7500 0.3397
O26 0.7285 0.1041 0.5082
O27 0.7285 0.3959 0.5082
O28 0.7715 0.6041 0.0082
O29 0.7715 0.8959 0.0082
O30 0.8070 0.2500 0.8397
O31 0.9018 0.6085 0.5355
O32 0.9018 0.8915 0.5355
O33 0.9094 0.2500 0.4686
O34 0.9305 0.1011 0.0971
O35 0.9305 0.3989 0.0971
O36 0.9709 0.7500 0.1881
```

=====

## iii
Crystalline Li2Co2Si3O9 at its relaxed geometry, computed with PBE+U.

Results
* SG: Pnma (62)
* magnetization: 6.00 μB/f.u.

```
data_Li2Co2Si3O9
_chemical_formula_sum 'Li8 Co8 Si12 O36'
_symmetry_space_group_name_H-M 'P 1'
_symmetry_Int_Tables_number 1
_cell_length_a 12.5391
_cell_length_b 10.0764
_cell_length_c 7.1202
_cell_angle_alpha 90.00
_cell_angle_beta 90.00
_cell_angle_gamma 90.00
loop_
_symmetry_equiv_pos_as_xyz
'x,y,z'
loop_
_atom_site_label
_atom_site_fract_x
_atom_site_fract_y
_atom_site_fract_z
Li1 0.1604 0.0148 0.0627
Li2 0.1604 0.4852 0.0627
Li3 0.3396 0.5148 0.5627
Li4 0.3396 0.9852 0.5627
Li5 0.6604 0.0148 0.4373
Li6 0.6604 0.4852 0.4373
Li7 0.8396 0.5148 0.9373
Li8 0.8396 0.9852 0.9373
Co1 0.0875 0.0647 0.6159
Co2 0.0875 0.4353 0.6159
Co3 0.4125 0.5647 0.1159
Co4 0.4125 0.9353 0.1159
Co5 0.5875 0.0647 0.8841
Co6 0.5875 0.4353 0.8841
Co7 0.9125 0.5647 0.3841
Co8 0.9125 0.9353 0.3841
Si1 0.0265 0.2500 0.9570
Si2 0.0597 0.7500 0.6442
Si3 0.2146 0.7500 0.9692
Si4 0.2854 0.2500 0.4692
Si5 0.4403 0.2500 0.1442
Si6 0.4735 0.7500 0.4570
Si7 0.5265 0.2500 0.5430
Si8 0.5597 0.7500 0.8558
Si9 0.7146 0.7500 0.5308
Si10 0.7854 0.2500 0.0308
Si11 0.9403 0.2500 0.3558
Si12 0.9735 0.7500 0.0430
O1 0.0342 0.2500 0.1899
O2 0.0464 0.6159 0.5204
O3 0.0464 0.8841 0.5204
O4 0.0817 0.1134 0.8821
O5 0.0817 0.3866 0.8821
O6 0.1023 0.7500 0.0933
O7 0.1786 0.7500 0.7442
O8 0.2264 0.1102 0.5145
O9 0.2264 0.3898 0.5145
O10 0.2736 0.6102 0.0145
O11 0.2736 0.8898 0.0145
O12 0.3214 0.2500 0.2442
O13 0.3977 0.2500 0.5933
O14 0.4183 0.6134 0.3821
O15 0.4183 0.8866 0.3821
O16 0.4536 0.1159 0.0204
O17 0.4536 0.3841 0.0204
O18 0.4658 0.7500 0.6899
O19 0.5342 0.2500 0.3101
O20 0.5464 0.6159 0.9796
O21 0.5464 0.8841 0.9796
O22 0.5817 0.1134 0.6179
O23 0.5817 0.3866 0.6179
O24 0.6023 0.7500 0.4067
O25 0.6786 0.7500 0.7558
O26 0.7264 0.1102 0.9855
O27 0.7264 0.3898 0.9855
O28 0.7736 0.6102 0.4855
O29 0.7736 0.8898 0.4855
O30 0.8214 0.2500 0.2558
O31 0.8977 0.2500 0.9067
O32 0.9183 0.6134 0.1179
O33 0.9183 0.8866 0.1179
O34 0.9536 0.1159 0.4796
O35 0.9536 0.3841 0.4796
O36 0.9658 0.7500 0.8101
```

=====

Least stable = ii

=====

## i
Crystalline Li3Co2Si3O10 at its relaxed geometry, computed with PBE+U.

Results
* SG: Cc (9)
* magnetization: 7.00 μB/f.u.

```
data_Li3Co2Si3O10
_chemical_formula_sum 'Li6 Co4 Si6 O20'
_symmetry_space_group_name_H-M 'P 1'
_symmetry_Int_Tables_number 1
_cell_length_a 5.3976
_cell_length_b 5.3976
_cell_length_c 16.9016
_cell_angle_alpha 96.74
_cell_angle_beta 96.74
_cell_angle_gamma 61.15
loop_
_symmetry_equiv_pos_as_xyz
'x,y,z'
loop_
_atom_site_label
_atom_site_fract_x
_atom_site_fract_y
_atom_site_fract_z
Li1 0.0971 0.9029 0.5000
Li2 0.1828 0.9391 0.8278
Li3 0.3161 0.5887 0.2666
Li4 0.5887 0.3161 0.7666
Li5 0.9029 0.0971 0.0000
Li6 0.9391 0.1828 0.3278
Co1 0.5620 0.7365 0.9650
Co2 0.7365 0.5620 0.4650
Co3 0.7497 0.9426 0.6265
Co4 0.9426 0.7497 0.1265
Si1 0.0753 0.2831 0.6487
Si2 0.2249 0.4114 0.9519
Si3 0.2831 0.0753 0.1487
Si4 0.4114 0.2249 0.4519
Si5 0.6464 0.8627 0.2993
Si6 0.8627 0.6464 0.7993
O1 0.0590 0.9984 0.6126
O2 0.1149 0.2051 0.4434
O3 0.1467 0.5499 0.8624
O4 0.2051 0.1149 0.9434
O5 0.2272 0.4036 0.1609
O6 0.3557 0.9452 0.2380
O7 0.3872 0.5317 0.4801
O8 0.4036 0.2272 0.6609
O9 0.5317 0.3872 0.9801
O10 0.5499 0.1467 0.3624
O11 0.5530 0.8702 0.0957
O12 0.5853 0.6887 0.8390
O13 0.6577 0.9639 0.5047
O14 0.6887 0.5853 0.3390
O15 0.8511 0.9042 0.7556
O16 0.8702 0.5530 0.5957
O17 0.9042 0.8511 0.2556
O18 0.9452 0.3557 0.7380
O19 0.9639 0.6577 0.0047
O20 0.9984 0.0590 0.1126
```

=====

## ii
Crystalline Li3Co2Si3O10 at its relaxed geometry, computed with PBE+U.

Results
* SG: Cc (9)
* magnetization: 7.00 μB/f.u.

```
data_Li3Co2Si3O10
_chemical_formula_sum 'Li6 Co4 Si6 O20'
_symmetry_space_group_name_H-M 'P 1'
_symmetry_Int_Tables_number 1
_cell_length_a 5.5129
_cell_length_b 5.5129
_cell_length_c 16.7964
_cell_angle_alpha 94.57
_cell_angle_beta 94.57
_cell_angle_gamma 59.17
loop_
_symmetry_equiv_pos_as_xyz
'x,y,z'
loop_
_atom_site_label
_atom_site_fract_x
_atom_site_fract_y
_atom_site_fract_z
Li1 0.0898 0.8238 0.1900
Li2 0.1114 0.8886 0.5000
Li3 0.4980 0.7749 0.7266
Li4 0.7749 0.4980 0.2266
Li5 0.8238 0.0898 0.6900
Li6 0.8886 0.1114 0.0000
Co1 0.0740 0.2450 0.3755
Co2 0.2450 0.0740 0.8755
Co3 0.2488 0.4473 0.0329
Co4 0.4473 0.2488 0.5329
Si1 0.1348 0.3767 0.7025
Si2 0.3767 0.1348 0.2025
Si3 0.5760 0.7801 0.0473
Si4 0.7329 0.9377 0.3522
Si5 0.7801 0.5760 0.5473
Si6 0.9377 0.7329 0.8522
O1 0.0098 0.9519 0.3864
O2 0.0510 0.6699 0.7591
O3 0.0526 0.3104 0.5007
O4 0.1279 0.1446 0.2514
O5 0.1438 0.4534 0.9029
O6 0.1446 0.1279 0.7514
O7 0.2732 0.4194 0.1576
O8 0.3104 0.0526 0.0007
O9 0.4194 0.2732 0.6576
O10 0.4534 0.1438 0.4029
O11 0.4865 0.8369 0.1451
O12 0.4865 0.5900 0.5213
O13 0.5900 0.4865 0.0213
O14 0.6087 0.8061 0.8430
O15 0.6699 0.0510 0.2591
O16 0.7965 0.8631 0.5447
O17 0.8061 0.6087 0.3430
O18 0.8369 0.4865 0.6451
O19 0.8631 0.7965 0.0447
O20 0.9519 0.0098 0.8864
```

=====

Least stable = ii

=====

## i
Crystalline Li3Co2Si3O10 at its relaxed geometry, computed with PBE+U.

Results
* SG: P1 (1)
* magnetization: 7.00 μB/f.u.

```
data_Li3Co2Si3O10
_chemical_formula_sum 'Li6 Co4 Si6 O20'
_symmetry_space_group_name_H-M 'P 1'
_symmetry_Int_Tables_number 1
_cell_length_a 5.3607
_cell_length_b 5.3937
_cell_length_c 16.9466
_cell_angle_alpha 84.05
_cell_angle_beta 84.92
_cell_angle_gamma 60.26
loop_
_symmetry_equiv_pos_as_xyz
'x,y,z'
loop_
_atom_site_label
_atom_site_fract_x
_atom_site_fract_y
_atom_site_fract_z
Li1 0.0000 0.0000 0.0000
Li2 0.0034 0.1119 0.6813
Li3 0.3511 0.7627 0.7893
Li4 0.3556 0.8750 0.4706
Li5 0.5322 0.6145 0.2904
Li6 0.8247 0.2602 0.1802
Co1 0.1686 0.2611 0.3234
Co2 0.1876 0.6138 0.1473
Co3 0.3617 0.4427 0.6496
Co4 0.9936 0.4326 0.8210
Si1 0.0468 0.5741 0.4861
Si2 0.3096 0.3008 0.9848
Si3 0.5005 0.9641 0.1375
Si4 0.6567 0.1059 0.8350
Si5 0.6988 0.7691 0.6357
Si6 0.8555 0.9108 0.3331
O1 0.0080 0.8365 0.4192
O2 0.0587 0.3256 0.9319
O3 0.0815 0.6448 0.2782
O4 0.1150 0.2961 0.4400
O5 0.2402 0.5789 0.0306
O6 0.2739 0.2302 0.1924
O7 0.2965 0.5492 0.5386
O8 0.3477 0.0384 0.0515
O9 0.3775 0.3765 0.7898
O10 0.3979 0.7782 0.6703
O11 0.5206 0.6615 0.1737
O12 0.5454 0.9166 0.3434
O13 0.6206 0.1710 0.9310
O14 0.6669 0.8026 0.8244
O15 0.6882 0.0713 0.6466
O16 0.7346 0.7038 0.5395
O17 0.8105 0.9584 0.1275
O18 0.8355 0.2130 0.2970
O19 0.9568 0.0966 0.8005
O20 0.9776 0.4980 0.6810
```

=====

## ii
Crystalline Li3Co2Si3O10 at its relaxed geometry, computed with PBE+U.

Results
* SG: P1 (1)
* magnetization: 7.00 μB/f.u.

```
data_Li3Co2Si3O10
_chemical_formula_sum 'Li6 Co4 Si6 O20'
_symmetry_space_group_name_H-M 'P 1'
_symmetry_Int_Tables_number 1
_cell_length_a 5.3474
_cell_length_b 5.3623
_cell_length_c 16.9444
_cell_angle_alpha 90.77
_cell_angle_beta 94.82
_cell_angle_gamma 119.22
loop_
_symmetry_equiv_pos_as_xyz
'x,y,z'
loop_
_atom_site_label
_atom_site_fract_x
_atom_site_fract_y
_atom_site_fract_z
Li1 0.0000 0.0000 0.0000
Li2 0.0013 0.1475 0.5012
Li3 0.0049 0.4984 0.6092
Li4 0.0055 0.6471 0.1081
Li5 0.1185 0.2633 0.8200
Li6 0.8787 0.3779 0.2837
Co1 0.3148 0.6478 0.9673
Co2 0.3157 0.8184 0.4702
Co3 0.6894 0.9992 0.1401
Co4 0.6970 0.8317 0.6421
Si1 0.3510 0.3491 0.1507
Si2 0.3557 0.1548 0.6519
Si3 0.4931 0.6836 0.3038
Si4 0.5114 0.9632 0.8039
Si5 0.6515 0.4881 0.4517
Si6 0.6529 0.2993 0.9567
O1 0.0669 0.1672 0.6169
O2 0.0759 0.0417 0.1174
O3 0.2689 0.4215 0.2379
O4 0.2754 0.7116 0.3604
O5 0.3023 0.6866 0.8502
O6 0.3286 0.0891 0.7479
O7 0.3423 0.2939 0.9501
O8 0.3585 0.8802 0.6055
O9 0.3609 0.1832 0.4645
O10 0.3668 0.6124 0.0975
O11 0.6335 0.0324 0.0091
O12 0.6373 0.7574 0.4961
O13 0.6490 0.4513 0.6395
O14 0.6633 0.3584 0.1590
O15 0.6738 0.5465 0.3561
O16 0.7004 0.9634 0.2596
O17 0.7301 0.2306 0.8693
O18 0.7362 0.9311 0.7527
O19 0.9313 0.6048 0.9901
O20 0.9445 0.4847 0.4880
```

=====

Least stable = i